First-principles (PBE-GGA) data for a relaxed structure of TiZnSiO5, as listed in Materials Project.

Calculated values
Symmetry: P1, No. 1
Total energy after the MP2020 corrections in eV/atom: -7.853

Structure (extended XYZ):
```
16
Lattice="5.448 0.000 0.000 -0.663 5.408 0.000 -2.130 -2.447 6.635" Properties=species:S:1:pos:R:3 pbc="T T T"
Ti 0.000 0.000 0.000
Ti -1.641 4.087 3.323
Zn 0.243 2.748 0.975
Zn 1.728 -0.687 4.343
Si -0.055 1.708 5.159
Si 2.871 1.234 1.875
O -0.636 4.281 1.820
O -1.353 1.670 6.183
O 0.062 0.343 4.268
O -0.178 3.079 4.250
O 1.478 1.241 1.010
O 1.319 1.816 6.048
O 2.976 -0.104 2.836
O 2.884 2.559 2.832
O 4.213 1.283 0.915
O 3.377 -1.354 5.179
```

---

First-principles (PBE-GGA) data for a relaxed structure of Gd2TlHg, as listed in Materials Project.

Calculated values
Symmetry: Fm-3m, No. 225

Structure (extended XYZ):
```
4
Lattice="0.000 3.787 3.787 3.787 0.000 3.787 3.787 3.787 0.000" Properties=species:S:1:pos:R:3 pbc="T T T"
Gd 1.893 1.893 1.893
Gd 5.680 5.680 5.680
Tl 0.000 0.000 0.000
Hg 3.787 3.787 3.787
```

---

First-principles (PBE-GGA) data for a relaxed structure of Sr2UCdO6, as listed in Materials Project.

Calculated values
Symmetry: P2_1/c, No. 14
Total energy after the MP2020 corrections in eV/atom: -7.683

Structure (extended XYZ):
```
20
Lattice="5.952 0.000 0.000 0.000 6.120 0.000 -5.846 0.000 8.492" Properties=species:S:1:pos:R:3 pbc="T T T"
Sr -0.052 0.287 2.072
Sr -2.975 2.773 6.319
Sr 3.081 3.347 2.174
Sr 0.158 5.833 6.420
U 2.976 0.000 0.000
U 0.053 3.060 4.246
Cd -2.923 0.000 4.246
Cd 0.000 3.060 0.000
O -4.576 1.154 8.121
O -1.653 1.906 3.875
O -3.987 4.422 7.958
O -1.064 4.758 3.712
O -2.289 0.281 6.505
O 0.634 2.779 2.259
O -0.528 3.341 6.233
O 2.395 5.839 1.987
O 1.170 1.362 4.781
O 4.093 1.698 0.535
O 1.758 4.214 4.618
O 4.681 4.966 0.372
```

---

First-principles (PBE-GGA) data for a relaxed structure of Zr4B15Ir12, as listed in Materials Project.

Calculated values
Symmetry: P-1, No. 2

Structure (extended XYZ):
```
31
Lattice="3.549 0.000 0.000 -0.005 7.594 0.000 -0.019 -0.007 13.147" Properties=species:S:1:pos:R:3 pbc="T T T"
Zr 0.877 0.004 4.406
Zr 0.869 3.783 10.930
Zr 2.656 3.803 2.217
Zr 2.647 7.583 8.742
B 0.000 0.000 0.000
B 0.825 0.597 6.898
B 0.839 5.108 3.649
B 0.837 5.681 9.163
B 0.859 1.314 10.187
B 0.878 1.890 2.632
B 0.883 4.375 0.334
B 1.774 0.000 0.000
B 1.762 3.793 6.574
B 2.641 3.212 12.813
B 2.647 5.696 10.515
B 2.665 6.272 2.960
B 2.688 1.906 3.984
B 2.685 2.479 9.498
B 2.699 6.989 6.249
Ir 0.883 2.221 0.486
Ir 0.863 6.893 10.993
Ir 0.886 6.075 1.677
Ir 0.909 2.281 8.255
Ir 0.913 3.096 4.423
Ir 0.924 5.996 7.034
Ir 2.600 1.591 6.114
Ir 2.611 4.491 8.724
Ir 2.615 5.305 4.892
Ir 2.638 1.511 11.470
Ir 2.661 0.694 2.154
Ir 2.641 5.365 12.661
```

---

Number 1: calculated formation energy -2.94 eV/atom, DFT total energy -7.42 eV per atom. Number 2: calculated formation energy -0.46 eV/atom, DFT total energy -8.17 eV per atom. Number 3: calculated formation energy -3.16 eV/atom, DFT total energy -7.27 eV per atom. Number 4: calculated formation energy -0.54 eV/atom, DFT total energy -8.30 eV per atom.